Compound: La2CuRhO6
Source: the Materials Project database
Functional: PBE
Structure: optimized geometry

Output
Symmetry: No. 14
DFT formation energy: -2.4939 eV/atom
Density: 7.00 Mg/m³

a b c (Å): 5.6145 5.8473 9.5982
angles (deg): 90.00 125.58 90.00
Closest atoms and distances in Å follow each position.
Fractional positions:
La  0.2365  0.0619  0.2503  6 O 2.41-2.65
La  0.2365  0.4381  0.7503  6 O 2.41-2.65
La  0.7635  0.5619  0.2497  6 O 2.41-2.65
La  0.7635  0.9381  0.7497  6 O 2.41-2.65
Cu  0.5000  0.0000  0.0000  6 O 2.01-2.16
Cu  0.5000  0.5000  0.5000  6 O 2.01-2.16
Rh  0.0000  0.0000  0.5000  6 O 2.05
Rh  0.0000  0.5000  0.0000  6 O 2.05
O  0.1403  0.2095  0.9495  1 Rh 2.05, 1 Cu 2.16
O  0.1403  0.2905  0.4495  1 Rh 2.05, 1 Cu 2.16
O  0.2474  0.6950  0.9514  1 Rh 2.05, 1 Cu 2.15
O  0.2474  0.8050  0.4514  1 Rh 2.05, 1 Cu 2.15
O  0.3480  0.0287  0.7522  1 Cu 2.01, 1 Rh 2.05
O  0.3480  0.4713  0.2522  1 Cu 2.01, 1 Rh 2.05
O  0.6520  0.5287  0.7478  1 Cu 2.01, 1 Rh 2.05
O  0.6520  0.9713  0.2478  1 Cu 2.01, 1 Rh 2.05
O  0.7526  0.1950  0.5486  1 Rh 2.05, 1 Cu 2.15
O  0.7526  0.3050  0.0486  1 Rh 2.05, 1 Cu 2.15
O  0.8597  0.7095  0.5505  1 Rh 2.05, 1 Cu 2.16
O  0.8597  0.7905  0.0505  1 Rh 2.05, 1 Cu 2.16